Density functional theory data (PBE with a Hubbard U) for a relaxed Mn6O7F5 crystal.

The structure in POSCAR format:
```
Mn6O7F5
1.0
-2.873 1.759 -3.163
-1.021 -5.119 -2.118
-6.035 -1.291 4.666
Mn O F
6 7 5
direct
0.493 0.498 0.998
0.512 0.826 0.649
0.507 0.178 0.357
0.994 0.333 0.672
0.977 0.651 0.318
0.008 0.004 0.005
0.798 0.364 0.445
0.817 0.711 0.092
0.684 0.539 0.765
0.709 0.879 0.429
0.311 0.125 0.567
0.311 0.460 0.235
0.184 0.291 0.903
0.790 0.031 0.781
0.703 0.195 0.125
0.295 0.809 0.877
0.185 0.635 0.548
0.222 0.971 0.234
```

* energy of formation from the pure elements: -2208 meV per atom
* space-group type: P1

Density functional theory data (PBE with a Hubbard U) for a relaxed Mn6O7F5 crystal.

The structure in POSCAR format:
```
Mn6O7F5
1.0
-4.556 -0.185 -0.619
-0.495 -3.766 4.122
-1.877 11.346 10.191
Mn O F
12 14 10
direct
0.020 0.836 0.590
0.995 0.157 0.752
0.024 0.821 0.922
0.013 0.832 0.254
0.003 0.149 0.425
0.053 0.152 0.086
0.494 0.656 0.414
0.485 0.644 0.079
0.505 0.651 0.746
0.518 0.379 0.914
0.497 0.363 0.573
0.487 0.356 0.248
0.211 0.885 0.700
0.216 0.893 0.366
0.235 0.880 0.031
0.228 0.113 0.533
0.224 0.105 0.199
0.288 0.608 0.855
0.277 0.608 0.522
0.273 0.597 0.185
0.292 0.396 0.020
0.718 0.619 0.974
0.736 0.393 0.805
0.724 0.609 0.637
0.717 0.381 0.470
0.714 0.615 0.304
0.257 0.123 0.866
0.254 0.377 0.684
0.232 0.391 0.358
0.752 0.384 0.132
0.771 0.901 0.814
0.771 0.878 0.483
0.737 0.122 0.638
0.783 0.131 0.972
0.752 0.874 0.138
0.746 0.121 0.310
```

* energy of formation from the pure elements: -2209 meV per atom
* space-group type: P1

Density functional theory data (PBE with a Hubbard U) for a relaxed Mn3O5F crystal.

The structure in POSCAR format:
```
Mn3O5F
1.0
-1.062 -3.272 -4.231
4.394 -0.262 -3.219
3.296 -6.348 1.107
Mn O F
6 10 2
direct
0.328 0.328 0.155
0.000 0.000 0.000
0.321 0.321 0.676
0.000 0.000 0.500
0.672 0.672 0.845
0.679 0.679 0.324
0.306 0.694 0.000
0.636 0.026 0.667
0.227 0.227 0.964
0.902 0.902 0.293
0.773 0.773 0.036
0.098 0.098 0.707
0.026 0.636 0.667
0.694 0.306 0.000
0.364 0.974 0.333
0.974 0.364 0.333
0.563 0.563 0.631
0.437 0.437 0.369
```

* energy of formation from the pure elements: -1943 meV per atom
* space-group type: C2/m

Density functional theory data (PBE with a Hubbard U) for a relaxed Mn6O7F5 crystal.

The structure in POSCAR format:
```
Mn6O7F5
1.0
-0.330 4.379 1.738
-2.876 0.642 -3.691
-7.109 -2.558 5.093
Mn O F
6 7 5
direct
0.010 0.990 0.008
0.010 0.990 0.325
0.999 0.001 0.667
0.502 0.498 0.834
0.480 0.520 0.167
0.502 0.498 0.499
0.191 0.809 0.167
0.300 0.310 0.002
0.300 0.310 0.331
0.307 0.299 0.667
0.690 0.700 0.002
0.690 0.700 0.331
0.701 0.693 0.667
0.194 0.806 0.501
0.194 0.806 0.832
0.791 0.209 0.167
0.819 0.181 0.491
0.819 0.181 0.842
```

* energy of formation from the pure elements: -2237 meV per atom
* space-group type: Amm2

Density functional theory data (PBE with a Hubbard U) for a relaxed Mn8O13F3 crystal.

The structure in POSCAR format:
```
Mn8O13F3
1.0
4.520 0.000 0.000
0.030 5.001 0.000
0.143 0.008 11.076
Mn O F
8 13 3
direct
0.969 0.244 0.576
0.990 0.743 0.918
0.995 0.762 0.426
0.999 0.264 0.075
0.518 0.739 0.183
0.504 0.241 0.835
0.498 0.761 0.676
0.514 0.239 0.316
0.778 0.075 0.948
0.761 0.583 0.554
0.765 0.084 0.439
0.772 0.582 0.058
0.718 0.574 0.803
0.713 0.079 0.697
0.742 0.572 0.305
0.744 0.073 0.194
0.263 0.923 0.806
0.277 0.920 0.305
0.281 0.421 0.194
0.229 0.424 0.945
0.219 0.928 0.555
0.255 0.425 0.689
0.246 0.420 0.439
0.250 0.921 0.062
```

* energy of formation from the pure elements: -1948 meV per atom
* space-group type: P1

Density functional theory data (PBE with a Hubbard U) for a relaxed Mn6OF11 crystal.

The structure in POSCAR format:
```
Mn6OF11
1.0
9.721 0.754 -5.029
-10.730 -1.182 -1.955
-0.333 3.271 -0.153
Mn O F
6 1 11
direct
0.001 0.999 0.000
0.171 0.829 0.500
0.494 0.506 0.500
0.343 0.657 0.000
0.662 0.338 0.000
0.832 0.168 0.500
0.401 0.599 0.500
0.067 0.933 0.500
0.694 0.694 0.000
0.971 0.637 0.000
0.306 0.306 0.000
0.637 0.975 0.000
0.274 0.726 0.500
0.594 0.406 0.500
0.728 0.272 0.500
0.025 0.363 0.000
0.363 0.029 0.000
0.935 0.065 0.500
```

* energy of formation from the pure elements: -2840 meV per atom
* space-group type: Amm2

Among the records above, which one has the lowest energy of formation from the pure elements?
Mn6OF11

Which formula does entry 4 have?
Mn6O7F5

What did the sixth record say?
Density functional theory data (PBE with a Hubbard U) for a relaxed Mn6OF11 crystal.

The structure in POSCAR format:
```
Mn6OF11
1.0
9.721 0.754 -5.029
-10.730 -1.182 -1.955
-0.333 3.271 -0.153
Mn O F
6 1 11
direct
0.001 0.999 0.000
0.171 0.829 0.500
0.494 0.506 0.500
0.343 0.657 0.000
0.662 0.338 0.000
0.832 0.168 0.500
0.401 0.599 0.500
0.067 0.933 0.500
0.694 0.694 0.000
0.971 0.637 0.000
0.306 0.306 0.000
0.637 0.975 0.000
0.274 0.726 0.500
0.594 0.406 0.500
0.728 0.272 0.500
0.025 0.363 0.000
0.363 0.029 0.000
0.935 0.065 0.500
```

* energy of formation from the pure elements: -2840 meV per atom
* space-group type: Amm2

energy of formation from the pure elements of number 1 (Mn6O7F5)?
-2208 meV per atom